Entry from the Materials Project: a relaxed Na3TeP2O14 crystal (GGA-PBE).

CIF file:
```
data_Na3TeP2O14
_space_group_name_H-M_alt 'P 63 2 2'
_space_group_IT_number 182
_space_group_name_Hall 'P 6c 2c'
_cell_length_a 8.1664
_cell_length_b 8.1664
_cell_length_c 10.8590
_cell_angle_alpha 90.00
_cell_angle_beta 90.00
_cell_angle_gamma 120.00
loop_
_atom_site_label
_atom_site_type_symbol
_atom_site_fract_x
_atom_site_fract_y
_atom_site_fract_z
Na1 Na 0.0514 0.5257 0.2500
Te1 Te 0.0000 0.0000 0.2500
P1 P 0.3333 0.6667 0.5209
O1 O 0.0182 0.2223 0.1691
O2 O 0.1476 0.5048 0.5785
O3 O 0.3333 0.6667 0.1186
```

Summary:
The calculation puts the calculated volume at 15.68 Å³ per atom. The electronic total energy comes out at -212.2 eV per cell. For the energy of formation, the calculation gives -1.43 eV/atom.

***

Entry from the Materials Project: a relaxed NaTh2P3O12 crystal (GGA-PBE).

CIF file:
```
data_NaTh2P3O12
_space_group_name_H-M_alt 'C 1 c 1'
_space_group_IT_number 9
_cell_length_a 17.577
_cell_length_b 6.852
_cell_length_c 8.254
_cell_angle_alpha 90.00
_cell_angle_beta 101.48
_cell_angle_gamma 90.00
loop_
_space_group_symop_operation_xyz
'x,y,z'
'x,-y,z+1/2'
'x+1/2,y+1/2,z'
'x+1/2,-y+1/2,z+1/2'
loop_
_atom_site_label
_atom_site_type_symbol
_atom_site_fract_x
_atom_site_fract_y
_atom_site_fract_z
Na1 Na 0.000 0.099 0.000
Th1 Th 0.166 0.412 0.900
Th2 Th 0.359 0.097 0.828
P1 P 0.010 0.400 0.622
P2 P 0.200 0.085 0.552
P3 P 0.324 0.410 0.176
O1 O 0.032 0.300 0.793
O2 O 0.086 0.487 0.110
O3 O 0.147 0.095 0.024
O4 O 0.167 0.253 0.437
O5 O 0.214 0.153 0.738
O6 O 0.238 0.446 0.195
O7 O 0.286 0.037 0.537
O8 O 0.310 0.356 0.987
O9 O 0.362 0.243 0.285
O10 O 0.373 0.403 0.706
O11 O 0.441 0.047 0.609
O12 O 0.482 0.243 0.977
```

Summary:
The calculation puts the calculated volume at 13.53 Å³ per atom. The electronic total energy comes out at -574.4 eV per cell. For the energy of formation, the calculation gives -3.34 eV/atom. The offset from the most stable computed form is 0.0 kJ/mol of atoms.

***

Entry from the Materials Project: a relaxed Na2ThP2O8 crystal (GGA-PBE).

CIF file:
```
data_Na2ThP2O8
_space_group_name_H-M_alt 'C 1 2/c 1'
_space_group_IT_number 15
_cell_length_a 7.121
_cell_length_b 21.936
_cell_length_c 9.268
_cell_angle_alpha 90.00
_cell_angle_beta 111.18
_cell_angle_gamma 90.00
loop_
_space_group_symop_operation_xyz
'x,y,z'
'-x,-y,-z'
'-x,y,-z+1/2'
'x,-y,z+1/2'
'x+1/2,y+1/2,z'
'-x+1/2,-y+1/2,-z'
'-x+1/2,y+1/2,-z+1/2'
'x+1/2,-y+1/2,z+1/2'
loop_
_atom_site_label
_atom_site_type_symbol
_atom_site_fract_x
_atom_site_fract_y
_atom_site_fract_z
Na1 Na 0.102 0.190 0.455
Na2 Na 0.125 0.437 0.493
Th1 Th 0.000 0.072 0.750
Th2 Th 0.000 0.296 0.750
P1 P 0.182 0.311 0.148
P2 P 0.184 0.066 0.120
O1 O 0.019 0.311 0.494
O2 O 0.036 0.082 0.486
O3 O 0.137 0.196 0.910
O4 O 0.196 0.012 0.228
O5 O 0.197 0.253 0.250
O6 O 0.209 0.370 0.244
O7 O 0.209 0.450 0.995
O8 O 0.221 0.378 0.777
```

Summary:
The calculation puts the calculated volume at 12.98 Å³ per atom. The electronic total energy comes out at -762.2 eV per cell. For the energy of formation, the calculation gives -3.10 eV/atom.

***

Entry from the Materials Project: a relaxed NaTh2P3O12 crystal (GGA-PBE).

CIF file:
```
data_NaTh2P3O12
_space_group_name_H-M_alt 'C 1 2/c 1'
_space_group_IT_number 15
_cell_length_a 17.612
_cell_length_b 6.861
_cell_length_c 8.235
_cell_angle_alpha 90.00
_cell_angle_beta 101.09
_cell_angle_gamma 90.00
loop_
_space_group_symop_operation_xyz
'x,y,z'
'-x,-y,-z'
'-x,y,-z+1/2'
'x,-y,z+1/2'
'x+1/2,y+1/2,z'
'-x+1/2,-y+1/2,-z'
'-x+1/2,y+1/2,-z+1/2'
'x+1/2,-y+1/2,z+1/2'
loop_
_atom_site_label
_atom_site_type_symbol
_atom_site_fract_x
_atom_site_fract_y
_atom_site_fract_z
Na1 Na 0.000 0.103 0.250
Th1 Th 0.153 0.405 0.036
P1 P 0.000 0.401 0.750
P2 P 0.190 0.090 0.687
O1 O 0.025 0.277 0.908
O2 O 0.072 0.464 0.248
O3 O 0.138 0.092 0.159
O4 O 0.154 0.259 0.577
O5 O 0.203 0.149 0.876
O6 O 0.225 0.450 0.331
```

Summary:
The calculation puts the calculated volume at 13.56 Å³ per atom. The electronic total energy comes out at -573.9 eV per cell. For the energy of formation, the calculation gives -3.33 eV/atom. The offset from the most stable computed form is 0.6 kJ/mol of atoms.

***

Entry from the Materials Project: a relaxed Na3ThP3O11 crystal (GGA-PBE).

CIF file:
```
data_Na3ThP3O11
_space_group_name_H-M_alt 'P -1'
_space_group_IT_number 2
_cell_length_a 6.534
_cell_length_b 8.821
_cell_length_c 9.021
_cell_angle_alpha 109.81
_cell_angle_beta 93.28
_cell_angle_gamma 103.66
loop_
_space_group_symop_operation_xyz
'x,y,z'
'-x,-y,-z'
loop_
_atom_site_label
_atom_site_type_symbol
_atom_site_fract_x
_atom_site_fract_y
_atom_site_fract_z
Na1 Na 0.100 0.322 0.438
Na2 Na 0.138 0.509 0.864
Na3 Na 0.205 0.914 0.965
Th1 Th 0.426 0.167 0.709
P1 P 0.092 0.880 0.299
P2 P 0.353 0.361 0.127
P3 P 0.408 0.727 0.641
O1 O 0.006 0.001 0.754
O2 O 0.096 0.243 0.665
O3 O 0.119 0.352 0.103
O4 O 0.203 0.606 0.647
O5 O 0.208 0.777 0.170
O6 O 0.270 0.968 0.448
O7 O 0.387 0.316 0.287
O8 O 0.417 0.223 0.994
O9 O 0.421 0.909 0.748
O10 O 0.453 0.707 0.472
O11 O 0.493 0.466 0.838
```

Summary:
The calculation puts the calculated volume at 13.05 Å³ per atom. The electronic total energy comes out at -256.2 eV per cell. For the energy of formation, the calculation gives -2.98 eV/atom.

***

Entry from the Materials Project: a relaxed Na2ThP2O8 crystal (GGA-PBE).

CIF file:
```
data_Na2ThP2O8
_space_group_name_H-M_alt 'P 1 21/c 1'
_space_group_IT_number 14
_cell_length_a 7.114
_cell_length_b 22.019
_cell_length_c 9.264
_cell_angle_alpha 90.00
_cell_angle_beta 111.51
_cell_angle_gamma 90.00
loop_
_space_group_symop_operation_xyz
'x,y,z'
'-x,-y,-z'
'-x,y+1/2,-z+1/2'
'x,-y+1/2,z+1/2'
loop_
_atom_site_label
_atom_site_type_symbol
_atom_site_fract_x
_atom_site_fract_y
_atom_site_fract_z
Na1 Na 0.120 0.187 0.013
Na2 Na 0.148 0.561 0.539
Na3 Na 0.357 0.560 0.958
Na4 Na 0.371 0.187 0.505
Th1 Th 0.243 0.046 0.747
Th2 Th 0.255 0.679 0.244
P1 P 0.070 0.062 0.355
P2 P 0.073 0.683 0.873
P3 P 0.434 0.059 0.149
P4 P 0.442 0.685 0.614
O1 O 0.020 0.127 0.731
O2 O 0.036 0.199 0.514
O3 O 0.039 0.122 0.261
O4 O 0.052 0.006 0.250
O5 O 0.061 0.737 0.763
O6 O 0.105 0.555 0.081
O7 O 0.222 0.668 0.509
O8 O 0.233 0.060 0.006
O9 O 0.274 0.063 0.495
O10 O 0.293 0.668 0.981
O11 O 0.383 0.553 0.406
O12 O 0.449 0.001 0.250
O13 O 0.452 0.200 0.001
O14 O 0.455 0.739 0.723
O15 O 0.460 0.117 0.247
O16 O 0.460 0.129 0.781
```

Summary:
The calculation puts the calculated volume at 12.98 Å³ per atom. The electronic total energy comes out at -762.1 eV per cell. For the energy of formation, the calculation gives -3.10 eV/atom.